No. 1
Computed, not measured: a geometry-optimized SrC2O5 structure at the PBE level of DFT.

POSCAR file:
```
SrC2O5
1.0
2.0038 0.4302 6.1501
4.8965 -4.1848 0.7314
5.3969 3.7065 -0.2757
O C Sr
10 4 2
Direct
0.6330 0.6330 0.4325 O
0.8232 0.8232 0.6117 O
0.9533 0.9533 0.2634 O
0.2150 0.5714 0.9946 O
0.7850 0.4286 0.0054 O
0.4286 0.7850 0.0054 O
0.0467 0.0467 0.7366 O
0.5714 0.2150 0.9946 O
0.1768 0.1768 0.3883 O
0.3670 0.3670 0.5675 O
0.0663 0.0663 0.5369 C
0.3972 0.6028 0.0000 C
0.9337 0.9337 0.4631 C
0.6028 0.3972 0.0000 C
0.1903 0.1903 0.9827 Sr
0.8097 0.8097 0.0173 Sr
```

Properties
total DFT energy (no corrections) = -6.91 eV per atom
energy of formation from the pure elements = -1732.8 meV/atom
magnetic moment = 0.25 μB per atom

No. 2
Computed, not measured: a geometry-optimized KCl structure at the PBE level of DFT.

POSCAR file:
```
KCl
1.0
-4.4002 0.9557 -0.3162
-1.8716 0.7038 -4.0468
-2.8520 -3.0425 -1.7275
Cl K
1 1
Direct
0.5000 0.5000 0.5000 Cl
0.0000 0.0000 0.0000 K
```

Properties
total DFT energy (no corrections) = -3.43 eV per atom
energy of formation from the pure elements = -2258.2 meV/atom

No. 3
Computed, not measured: a geometry-optimized TbPaO4 structure at the PBE level of DFT.

POSCAR file:
```
TbPaO4
1.0
-3.7388 2.5649 4.8064
-0.9390 6.4366 -1.1608
-0.8072 -5.3220 -3.8319
Pa O Tb
2 8 2
Direct
0.5000 0.5000 0.0000 Pa
0.2500 0.7500 0.5000 Pa
0.3750 0.3866 0.5116 O
0.1366 0.6250 0.0116 O
0.1366 0.1250 0.5116 O
0.3750 0.8634 0.9884 O
0.8750 0.8634 0.4884 O
0.6134 0.1250 0.9884 O
0.6134 0.6250 0.4884 O
0.8750 0.3866 0.0116 O
0.7500 0.2500 0.5000 Tb
0.0000 0.0000 0.0000 Tb
```

Properties
total DFT energy (no corrections) = -9.38 eV per atom
energy of formation from the pure elements = -4185.5 meV/atom

No. 4
Computed, not measured: a geometry-optimized MgSn8P4O18 structure at the PBE level of DFT.

POSCAR file:
```
MgSn8P4O18
1.0
-5.0992 8.2173 2.7048
-3.6171 -4.3121 6.1660
1.4973 0.9464 8.1525
O Sn Mg P
18 8 1 4
Direct
0.4509 0.1659 0.2337 O
0.6905 0.9556 0.3918 O
0.2162 0.3194 0.8602 O
0.7838 0.6806 0.1398 O
0.7296 0.1967 0.9175 O
0.2704 0.8033 0.0825 O
0.3095 0.0444 0.6082 O
0.3556 0.7986 0.5176 O
0.9548 0.4610 0.7366 O
0.7241 0.5201 0.8848 O
0.8166 0.9684 0.6109 O
0.2339 0.4748 0.4358 O
0.1834 0.0316 0.3891 O
0.0452 0.5390 0.2634 O
0.7661 0.5252 0.5642 O
0.6444 0.2014 0.4824 O
0.2759 0.4799 0.1152 O
0.5491 0.8341 0.7663 O
0.1002 0.2649 0.1572 Sn
0.5713 0.5079 0.3083 Sn
0.5740 0.9577 0.2050 Sn
0.4260 0.0423 0.7950 Sn
0.0852 0.2471 0.7387 Sn
0.4287 0.4921 0.6917 Sn
0.9148 0.7529 0.2613 Sn
0.8998 0.7351 0.8428 Sn
0.5000 0.5000 0.0000 Mg
0.3212 0.0080 0.4432 P
0.6788 0.9920 0.5568 P
0.7932 0.4233 0.7756 P
0.2068 0.5767 0.2244 P
```

Properties
total DFT energy (no corrections) = -6.39 eV per atom
energy of formation from the pure elements = -2132.8 meV/atom
magnetic moment = 0.00 μB per atom
distance to the lowest polymorph of the same formula = 5.0 meV per atom

No. 5
Computed, not measured: a geometry-optimized Rb3RhF6 structure at the PBE level of DFT.

POSCAR file:
```
Rb3RhF6
1.0
1.5762 -4.9812 3.9986
-3.2948 -5.6828 -0.3679
2.9461 -5.3595 -2.4253
Rb F Rh
3 6 1
Direct
0.7500 0.7500 0.7500 Rb
0.5000 0.5000 0.5000 Rb
0.2500 0.2500 0.2500 Rb
0.7834 0.2166 0.2166 F
0.2166 0.2166 0.7834 F
0.2166 0.7834 0.2166 F
0.7834 0.2166 0.7834 F
0.2166 0.7834 0.7834 F
0.7834 0.7834 0.2166 F
0.0000 0.0000 0.0000 Rh
```

Properties
total DFT energy (no corrections) = -4.50 eV per atom
energy of formation from the pure elements = -2594.4 meV/atom

No. 6
Computed, not measured: a geometry-optimized TaPt3 structure at the PBE level of DFT.

POSCAR file:
```
TaPt3
1.0
5.6120 0.0000 0.0000
0.0000 4.9368 0.0000
0.0000 1.7274 9.2360
Ta Pt
4 12
Direct
0.2500 0.2144 0.3727 Ta
0.2500 0.3768 0.8780 Ta
0.7500 0.6232 0.1220 Ta
0.7500 0.7856 0.6273 Ta
0.7500 0.3887 0.8758 Pt
0.9984 0.1235 0.1257 Pt
0.0010 0.2915 0.6235 Pt
0.5016 0.1235 0.1257 Pt
0.0016 0.8765 0.8743 Pt
0.5010 0.7085 0.3765 Pt
0.4984 0.8765 0.8743 Pt
0.2500 0.7935 0.6271 Pt
0.2500 0.6113 0.1242 Pt
0.7500 0.2065 0.3729 Pt
0.4990 0.2915 0.6235 Pt
0.9990 0.7085 0.3765 Pt
```

Properties
total DFT energy (no corrections) = -8.23 eV per atom
energy of formation from the pure elements = -709.4 meV/atom

No. 7
Computed, not measured: a geometry-optimized TbAl2Ni structure at the PBE level of DFT.

POSCAR file:
```
TbAl2Ni
1.0
-2.2601 -0.9504 -3.2264
-1.4165 -3.0217 4.4271
-4.5948 4.7987 1.8051
Al Tb Ni
4 2 2
Direct
0.6591 0.3182 0.0549 Al
0.6591 0.3182 0.4451 Al
0.3409 0.6818 0.9451 Al
0.3409 0.6818 0.5549 Al
0.9401 0.8802 0.2500 Tb
0.0599 0.1198 0.7500 Tb
0.2166 0.4331 0.2500 Ni
0.7834 0.5669 0.7500 Ni
```

Properties
total DFT energy (no corrections) = -5.11 eV per atom
energy of formation from the pure elements = -635.5 meV/atom

No. 8
Computed, not measured: a geometry-optimized BaMg2H8Ru structure at the PBE level of DFT.

POSCAR file:
```
BaMg2H8Ru
1.0
-1.2257 -2.6575 -4.0165
4.6356 0.4730 -1.7276
2.8418 -9.0782 5.1394
Mg H Ba Ru
4 16 2 2
Direct
0.5000 0.0000 0.3597 Mg
0.5000 0.0000 0.6403 Mg
0.0000 0.5000 0.8597 Mg
0.0000 0.5000 0.1403 Mg
0.7481 0.5000 0.0000 H
0.2436 0.7564 0.7500 H
0.0000 0.0000 0.5938 H
0.7564 0.2436 0.2500 H
0.7564 0.7564 0.7500 H
0.2519 0.5000 0.0000 H
0.0000 0.0000 0.4062 H
0.2436 0.2436 0.7500 H
0.0000 0.0000 0.9062 H
0.5000 0.7481 0.5000 H
0.5000 0.2519 0.5000 H
0.0000 0.0000 0.0938 H
0.7564 0.7564 0.2500 H
0.2436 0.7564 0.2500 H
0.2436 0.2436 0.2500 H
0.7564 0.2436 0.7500 H
0.5000 0.0000 0.0000 Ba
0.0000 0.5000 0.5000 Ba
0.0000 0.0000 0.7500 Ru
0.0000 0.0000 0.2500 Ru
```

Properties
total DFT energy (no corrections) = -3.87 eV per atom
energy of formation from the pure elements = -411.6 meV/atom
magnetic moment = 0.00 μB per atom

No. 9
Computed, not measured: a geometry-optimized TlCdN3 structure at the PBE level of DFT.

POSCAR file:
```
TlCdN3
1.0
-0.2288 2.0658 -3.9601
-4.2143 1.2139 0.8767
1.4798 3.7764 1.8844
N Cd Tl
3 1 1
Direct
0.0000 0.0000 0.5000 N
0.5000 0.0000 0.0000 N
0.0000 0.5000 0.0000 N
0.0000 0.0000 0.0000 Cd
0.5000 0.5000 0.5000 Tl
```

Properties
total DFT energy (no corrections) = -3.55 eV per atom
energy of formation from the pure elements = 1891.9 meV/atom
magnetic moment = 1.06 μB per atom

No. 10
Computed, not measured: a geometry-optimized EuSn3Sb4 structure at the PBE level of DFT.

POSCAR file:
```
EuSn3Sb4
1.0
-0.9914 -3.0379 3.1173
-5.4324 -5.1333 -6.7302
18.6252 -12.0631 -5.8328
Sb Sn Eu
16 12 4
Direct
0.2500 0.7079 0.0939 Sb
0.7500 0.2921 0.9061 Sb
0.2500 0.5306 0.2701 Sb
0.2500 0.5696 0.4701 Sb
0.7500 0.4304 0.5299 Sb
0.2500 0.0306 0.2299 Sb
0.7500 0.7841 0.3772 Sb
0.7500 0.7921 0.5939 Sb
0.7500 0.4694 0.7299 Sb
0.7500 0.9304 0.9701 Sb
0.2500 0.2079 0.4061 Sb
0.2500 0.7159 0.8772 Sb
0.2500 0.0696 0.0299 Sb
0.7500 0.9694 0.7701 Sb
0.2500 0.2159 0.6228 Sb
0.7500 0.2841 0.1228 Sb
0.2500 0.7789 0.7498 Sn
0.7500 0.0458 0.6496 Sn
0.2500 0.3511 0.9883 Sn
0.7500 0.2211 0.2502 Sn
0.2500 0.8511 0.5117 Sn
0.2500 0.4542 0.1496 Sn
0.7500 0.5458 0.8504 Sn
0.2500 0.2789 0.7502 Sn
0.7500 0.7211 0.2498 Sn
0.7500 0.1489 0.4883 Sn
0.2500 0.9542 0.3504 Sn
0.7500 0.6489 0.0117 Sn
0.7500 0.9392 0.1291 Eu
0.2500 0.0608 0.8709 Eu
0.2500 0.5608 0.6291 Eu
0.7500 0.4392 0.3709 Eu
```

Properties
total DFT energy (no corrections) = -5.13 eV per atom
energy of formation from the pure elements = -377.8 meV/atom
magnetic moment = 0.87 μB per atom

No. 11
Computed, not measured: a geometry-optimized MgV2S4N6Cl4 structure at the PBE level of DFT.

POSCAR file:
```
MgV2S4N6Cl4
1.0
-5.5512 1.9405 -1.3141
0.7048 -7.1103 -3.0739
-1.1024 -3.1951 7.2061
Cl S V N Mg
4 4 2 6 1
Direct
0.7348 0.7251 0.7139 Cl
0.3300 0.7915 0.9075 Cl
0.6467 0.1939 0.0666 Cl
0.2555 0.2496 0.2989 Cl
0.7362 0.2579 0.5875 S
0.8087 0.7223 0.2194 S
0.2034 0.3029 0.8163 S
0.2886 0.7178 0.3827 S
0.2511 0.0120 0.1271 V
0.7595 0.9992 0.8828 V
0.6451 0.0981 0.6981 N
0.0198 0.3695 0.6690 N
0.3753 0.8929 0.2877 N
0.9943 0.6591 0.3658 N
0.9311 0.8791 0.1119 N
0.0693 0.1308 0.9034 N
0.0548 0.6484 0.6448 Mg
```

Properties
total DFT energy (no corrections) = -5.87 eV per atom
energy of formation from the pure elements = -505.3 meV/atom
magnetic moment = 0.12 μB per atom
distance to the lowest polymorph of the same formula = 49.5 meV per atom

No. 12
Computed, not measured: a geometry-optimized La2Cu5Ni5 structure at the PBE level of DFT.

POSCAR file:
```
La2Cu5Ni5
1.0
-2.8597 -2.7401 0.0854
2.5587 -2.5580 3.6038
-4.2062 4.5843 6.2403
La Cu Ni
2 5 5
Direct
0.0000 0.0000 0.5000 La
0.0000 0.5000 0.0000 La
0.5000 0.5000 0.5000 Cu
0.0000 0.5000 0.6687 Cu
0.0000 0.0000 0.1674 Cu
0.0000 0.0000 0.8326 Cu
0.0000 0.5000 0.3313 Cu
0.5000 0.7518 0.7509 Ni
0.5000 0.0000 0.0000 Ni
0.5000 0.2482 0.2491 Ni
0.5000 0.7518 0.2491 Ni
0.5000 0.2482 0.7509 Ni
```

Properties
total DFT energy (no corrections) = -5.19 eV per atom
energy of formation from the pure elements = -247.1 meV/atom